Density functional theory data (GGA-PBE) for SeBr4 after structural relaxation.

Lattice parameters (Å, degrees): 10.7616 10.7616 31.5014 90.00 90.00 120.00
Space group P31c (No. 159)
One atom of each set of equivalent atoms:
Se 0.0000 0.0000 0.0000 [2 per cell]
Se 0.0417 0.2599 0.1153 [6 per cell]
Se 0.0783 0.6376 0.8063 [6 per cell]
Se 0.3333 0.6667 0.9207 [2 per cell]
Br 0.0000 0.0000 0.1629 [2 per cell]
Br 0.0085 0.1956 0.4607 [6 per cell]
Br 0.0320 0.8115 0.5626 [6 per cell]
Br 0.0758 0.8193 0.7633 [6 per cell]
Br 0.0776 0.5153 0.2616 [6 per cell]
Br 0.0823 0.4387 0.0632 [6 per cell]
Br 0.1009 0.7153 0.3560 [6 per cell]
Br 0.1193 0.6144 0.9598 [6 per cell]
Br 0.1388 0.4173 0.6555 [6 per cell]
Br 0.1433 0.4466 0.8600 [6 per cell]
Br 0.1671 0.7585 0.1608 [6 per cell]
Br 0.3333 0.6667 0.7601 [2 per cell]

Computed properties:
mass density: 3.35 g/cm³
magnetic moment: 0.00 Bohr magnetons per cell
E_tot: -10.79 eV/f.u.
energy of formation: -576 meV/atom